*a*
Material: LiMnP3O9
Method: DFT, GGA+U
State: relaxed

Spin magnetization   4.999 μB per formula unit
Space group   P2_1/c

Lattice parameters (Å, degrees): 6.571 11.423 10.362 90.00 91.16 90.00
Fractional positions:
Li (0.245, 0.094, 0.189)
Li (0.245, 0.406, 0.689)
Li (0.755, 0.594, 0.311)
Li (0.755, 0.906, 0.811)
Mn (0.000, 0.000, 0.500)
Mn (0.000, 0.500, 0.000)
Mn (0.500, 0.000, 0.000)
Mn (0.500, 0.500, 0.500)
P (0.144, 0.638, 0.699)
P (0.144, 0.862, 0.199)
P (0.231, 0.247, 0.930)
P (0.231, 0.253, 0.430)
P (0.380, 0.648, 0.199)
P (0.380, 0.852, 0.699)
P (0.620, 0.148, 0.301)
P (0.620, 0.352, 0.801)
P (0.769, 0.747, 0.570)
P (0.769, 0.753, 0.070)
P (0.856, 0.138, 0.801)
P (0.856, 0.362, 0.301)
O (0.070, 0.207, 0.819)
O (0.070, 0.293, 0.319)
O (0.114, 0.539, 0.793)
O (0.114, 0.961, 0.293)
O (0.158, 0.154, 0.510)
O (0.158, 0.346, 0.010)
O (0.235, 0.603, 0.574)
O (0.235, 0.897, 0.074)
O (0.265, 0.610, 0.082)
O (0.265, 0.890, 0.582)
O (0.273, 0.741, 0.770)
O (0.273, 0.759, 0.270)
O (0.297, 0.141, 0.007)
O (0.297, 0.359, 0.507)
O (0.398, 0.209, 0.331)
O (0.398, 0.291, 0.831)
O (0.440, 0.561, 0.302)
O (0.440, 0.939, 0.802)
O (0.560, 0.061, 0.198)
O (0.560, 0.439, 0.698)
O (0.602, 0.709, 0.169)
O (0.602, 0.791, 0.669)
O (0.703, 0.641, 0.493)
O (0.703, 0.859, 0.993)
O (0.727, 0.241, 0.730)
O (0.727, 0.259, 0.230)
O (0.735, 0.110, 0.418)
O (0.735, 0.390, 0.918)
O (0.765, 0.103, 0.926)
O (0.765, 0.397, 0.426)
O (0.842, 0.654, 0.990)
O (0.842, 0.846, 0.490)
O (0.886, 0.039, 0.707)
O (0.886, 0.461, 0.207)
O (0.930, 0.707, 0.681)
O (0.930, 0.793, 0.181)

*b*
Material: LiMnP3O9
Method: DFT, GGA+U
State: relaxed

Spin magnetization   0.000 μB per formula unit
Maximum piezoelectric response   0.24 C/m2

Lattice parameters (Å, degrees): 6.480 13.283 10.446 90.00 89.98 95.57
Fractional positions:
Mn (0.485, 0.486, 0.000)
Mn (0.236, 0.736, 0.500)
Mn (0.735, 0.235, 0.500)
Mn (0.986, 0.986, 0.000)
P (0.244, 0.242, 0.432)
P (0.282, 0.635, 0.783)
P (0.201, 0.851, 0.785)
P (0.744, 0.742, 0.432)
P (0.494, 0.992, 0.932)
P (0.782, 0.135, 0.783)
P (0.032, 0.885, 0.283)
P (0.532, 0.385, 0.283)
P (0.994, 0.492, 0.932)
P (0.701, 0.351, 0.785)
P (0.451, 0.601, 0.285)
P (0.951, 0.101, 0.285)
O (0.516, 0.613, 0.147)
O (0.913, 0.983, 0.322)
O (0.402, 0.885, 0.874)
O (0.766, 0.363, 0.647)
O (0.321, 0.052, 0.975)
O (0.328, 0.636, 0.642)
O (0.266, 0.863, 0.647)
O (0.660, 0.969, 0.025)
O (0.516, 0.398, 0.833)
O (0.848, 0.796, 0.304)
O (0.071, 0.302, 0.475)
O (0.265, 0.648, 0.333)
O (0.163, 0.733, 0.822)
O (0.578, 0.386, 0.142)
O (0.902, 0.385, 0.874)
O (0.016, 0.898, 0.833)
O (0.078, 0.886, 0.142)
O (0.453, 0.625, 0.878)
O (0.766, 0.148, 0.333)
O (0.152, 0.135, 0.374)
O (0.160, 0.469, 0.025)
O (0.203, 0.875, 0.378)
O (0.828, 0.136, 0.642)
O (0.098, 0.546, 0.804)
O (0.413, 0.483, 0.322)
O (0.953, 0.125, 0.878)
O (0.821, 0.552, 0.975)
O (0.910, 0.719, 0.525)
O (0.016, 0.113, 0.147)
O (0.348, 0.296, 0.304)
O (0.663, 0.233, 0.822)
O (0.703, 0.375, 0.378)
O (0.571, 0.802, 0.475)
O (0.652, 0.635, 0.374)
O (0.410, 0.219, 0.525)
O (0.598, 0.046, 0.804)
Li (0.674, 0.674, 0.000)
Li (0.924, 0.424, 0.500)
Li (0.174, 0.174, 0.000)
Li (0.424, 0.924, 0.500)

Referenced to the most stable arrangement, the calculated values in kJ/mol of atoms are *a* 1.6; *b* 0.0.